NbBi2O5F (PBE, relaxed); MP2020-corrected energy = -7.35 eV per atom; excess energy over the best structure of this formula in the dataset = 0.00 eV/f.u.
1.0
5.4671 0.0000 0.0000
0.0000 5.4748 0.0000
0.0000 0.0000 16.9814
O F Bi Nb
20 4 8 4
Cartesian
2.9482 2.3445 2.3317
4.0309 4.3330 4.1958
4.1139 1.3600 8.4365
4.0309 1.5956 12.7857
4.1139 4.0974 8.5449
1.3825 1.3864 16.9440
1.7861 1.0997 4.7370
1.3803 1.3774 8.4365
0.2147 0.3929 2.3317
1.7861 3.8371 12.2444
4.1161 1.3510 16.9440
4.1161 4.0884 0.0375
4.5196 1.6377 4.7370
2.9482 5.0819 14.6497
1.3825 4.1238 0.0375
1.3803 4.1148 8.5449
0.2147 3.1303 14.6497
4.5196 4.3751 12.2444
1.2974 3.8792 4.1958
1.2974 1.1418 12.7857
2.8543 3.0177 6.4065
0.1207 5.1945 6.4065
2.8543 0.2803 10.5750
0.1207 2.4571 10.5750
2.6877 2.7063 9.7729
5.4164 2.6003 1.2848
5.4164 5.3377 15.6966
5.4213 0.0311 9.7729
2.6828 0.1371 1.2848
2.6828 2.8744 15.6966
2.6877 5.4437 7.2086
5.4213 2.7685 7.2086
2.7935 5.4120 12.7908
2.7935 2.6746 4.1906
0.0599 2.8002 12.7908
0.0599 0.0628 4.1906